No. 1
The following is a PBE-GGA calculation of Sm2Ge5Ru3 after structural relaxation, from the Materials Project database.

Values from the calculation:
Volume ... 367 Å³/cell
Calculated density ... 8.8 g/cm3
ΔE_f ... -650 meV/atom
Total DFT energy (no corrections) ... -6.69 eV per atom

Cell lengths 8.5392, 8.5392, 8.5392 Å; angles 139.94, 108.55, 85.21 degrees
Closest atoms and distances in Å follow each position.
Atoms (fractional coordinates):
Ru  0.5000  0.7500  0.2500  6 Ge 2.53-2.61
Ge  0.7628  0.0882  0.6747  3 Ru 2.45-2.53, 2 Ge 2.73
Ge  0.7078  0.9578  0.2500  3 Ru 2.51-2.61, 2 Ge 2.73
Ge  0.2372  0.9118  0.3253  3 Ru 2.45-2.53, 2 Ge 2.73
Ru  0.9444  0.8531  0.0913  5 Ge 2.45-2.53
Ge  0.2922  0.0422  0.7500  3 Ru 2.51-2.61, 2 Ge 2.73
Sm  0.3703  0.1390  0.2313  9 Ge 3.01-3.34, 4 Ru 3.22-3.24
Sm  0.6297  0.8610  0.7687  9 Ge 3.01-3.34, 4 Ru 3.22-3.24
Ge  0.2922  0.5422  0.2500  3 Ru 2.51-2.61, 2 Ge 2.73
Ru  0.0556  0.1469  0.9087  5 Ge 2.45-2.53
Ru  0.7618  0.3531  0.4087  5 Ge 2.45-2.53
Ru  0.5000  0.2500  0.7500  6 Ge 2.53-2.61
Ge  0.5865  0.4118  0.1747  3 Ru 2.45-2.53, 2 Ge 2.73
Ge  0.0000  0.2500  0.2500  4 Ru 2.53
Sm  0.9077  0.6390  0.2687  9 Ge 3.01-3.34, 4 Ru 3.22-3.24
Ru  0.2382  0.6469  0.5913  5 Ge 2.45-2.53
Ge  0.4135  0.5882  0.8253  3 Ru 2.45-2.53, 2 Ge 2.73
Ge  0.7078  0.4578  0.7500  3 Ru 2.51-2.61, 2 Ge 2.73
Ge  0.0000  0.7500  0.7500  4 Ru 2.53
Sm  0.0923  0.3610  0.7313  9 Ge 3.01-3.34, 4 Ru 3.22-3.24

***

No. 2
The following is a PBE-GGA calculation of Sm3Ge4Ru2 after structural relaxation, from the Materials Project database.

Values from the calculation:
Volume ... 188 Å³/cell
Calculated density ... 8.3 g/cm3
ΔE_f ... -741 meV/atom
Total DFT energy (no corrections) ... -6.43 eV per atom

Cell lengths 5.9100, 5.9100, 8.3107 Å; angles 72.29, 72.29, 43.40 degrees
Closest atoms and distances in Å follow each position.
Atoms (fractional coordinates):
Ge  0.9011  0.9011  0.4029  3 Ru 2.45-2.53
Ge  0.2862  0.2862  0.0807  1 Ru 2.45
Ge  0.0989  0.0989  0.5971  3 Ru 2.45-2.53
Ru  0.3148  0.3148  0.3614  4 Ge 2.45-2.53
Sm  0.3806  0.3806  0.6974  7 Ge 3.01-3.23, 4 Ru 3.10-3.22
Sm  0.0000  0.0000  0.0000  8 Ge 3.12-3.42
Sm  0.6194  0.6194  0.3026  7 Ge 3.01-3.23, 4 Ru 3.10-3.22
Ru  0.6852  0.6852  0.6386  4 Ge 2.45-2.53
Ge  0.7138  0.7138  0.9193  1 Ru 2.45

***

No. 3
The following is a PBE-GGA calculation of Sm2GeRu3 after structural relaxation, from the Materials Project database.

Values from the calculation:
Volume ... 111 Å³/cell
Calculated density ... 10.1 g/cm3
ΔE_f ... -398 meV/atom
Total DFT energy (no corrections) ... -7.38 eV per atom
M_tot ... 0.01 Bohr magnetons per cell

Cell lengths 5.2150, 5.2150, 5.2150 Å; angles 64.97, 64.97, 64.97 degrees
Closest atoms and distances in Å follow each position.
Atoms (fractional coordinates):
Sm  0.3723  0.3723  0.3723  9 Ru 3.00-3.21, 1 Sm 3.13, 3 Ge 3.27
Ge  0.0000  0.0000  0.0000  6 Ru 2.61
Ru  0.0000  0.0000  0.5000  2 Ge 2.61, 4 Ru 2.80
Ru  0.0000  0.5000  0.0000  2 Ge 2.61, 4 Ru 2.80
Ru  0.5000  0.0000  0.0000  2 Ge 2.61, 4 Ru 2.80
Sm  0.6277  0.6277  0.6277  9 Ru 3.00-3.21, 1 Sm 3.13, 3 Ge 3.27

***

No. 4
The following is a PBE-GGA calculation of Sm2Ge2Ru after structural relaxation, from the Materials Project database.

Values from the calculation:
Volume ... 220 Å³/cell
Calculated density ... 8.3 g/cm3
ΔE_f ... -762 meV/atom
Total DFT energy (no corrections) ... -6.35 eV per atom

Cell lengths 5.9486, 5.9486, 10.4815 Å; angles 62.99, 62.99, 42.79 degrees
Closest atoms and distances in Å follow each position.
Atoms (fractional coordinates):
Ru  0.7734  0.7734  0.3752  4 Ge 2.48-2.62
Ge  0.1502  0.1502  0.4334  3 Ru 2.48-2.53
Ge  0.9939  0.9939  0.8734  1 Ru 2.62, 1 Ge 2.72
Sm  0.5019  0.5019  0.3261  6 Ge 3.00-3.24, 4 Ru 3.13-3.29
Ru  0.2266  0.2266  0.6248  4 Ge 2.48-2.62
Ge  0.0061  0.0061  0.1266  1 Ru 2.62, 1 Ge 2.72
Sm  0.6849  0.6849  0.8898  5 Ge 2.96-3.16
Sm  0.4981  0.4981  0.6739  6 Ge 3.00-3.24, 4 Ru 3.13-3.29
Sm  0.3151  0.3151  0.1102  5 Ge 2.96-3.16
Ge  0.8498  0.8498  0.5666  3 Ru 2.48-2.53

***

No. 5
The following is a PBE-GGA calculation of SmGe2Ru2 after structural relaxation, from the Materials Project database.

Values from the calculation:
Volume ... 92 Å³/cell
Calculated density ... 9.0 g/cm3
ΔE_f ... -662 meV/atom
Total DFT energy (no corrections) ... -7.16 eV per atom

Cell lengths 4.2865, 4.2865, 5.8543 Å; angles 111.48, 111.48, 90.00 degrees
Closest atoms and distances in Å follow each position.
Atoms (fractional coordinates):
Ge  0.3683  0.3683  0.7366  4 Ru 2.45, 1 Ge 2.64
Ru  0.2500  0.7500  0.5000  4 Ge 2.45
Ge  0.6317  0.6317  0.2634  4 Ru 2.45, 1 Ge 2.64
Sm  0.0000  0.0000  0.0000  8 Ru 3.30, 10 Ge 3.31-3.69
Ru  0.7500  0.2500  0.5000  4 Ge 2.45

***

No. 6
The following is a PBE-GGA calculation of Tb3Ge3Ru2 after structural relaxation, from the Materials Project database.

Values from the calculation:
Volume ... 331 Å³/cell
Calculated density ... 9.0 g/cm3
ΔE_f ... -768 meV/atom
Total DFT energy (no corrections) ... -6.56 eV per atom

Cell lengths 5.8685, 5.8685, 14.0554 Å; angles 90.00, 90.00, 136.92 degrees
Closest atoms and distances in Å follow each position.
Atoms (fractional coordinates):
Tb  0.3532  0.6468  0.7500  4 Ge 2.95-2.96, 4 Ru 3.29
Ge  0.3331  0.6669  0.2500  2 Ru 2.71, 2 Tb 2.96
Ru  0.2138  0.7862  0.0806  4 Ge 2.46-2.71
Ru  0.7862  0.2138  0.5806  4 Ge 2.46-2.71
Tb  0.6468  0.3532  0.2500  4 Ge 2.95-2.96, 4 Ru 3.29
Ge  0.6182  0.3818  0.4585  3 Ru 2.46-2.51
Ru  0.7862  0.2138  0.9194  4 Ge 2.46-2.71
Ge  0.6669  0.3331  0.7500  2 Ru 2.71, 2 Tb 2.96
Tb  0.9214  0.0786  0.3865  6 Ge 3.04-3.21, 4 Ru 3.10-3.23
Ru  0.2138  0.7862  0.4194  4 Ge 2.46-2.71
Tb  0.0786  0.9214  0.8865  6 Ge 3.04-3.21, 4 Ru 3.10-3.23
Ge  0.6182  0.3818  0.0415  3 Ru 2.46-2.51
Tb  0.9214  0.0786  0.1135  6 Ge 3.04-3.21, 4 Ru 3.10-3.23
Ge  0.3818  0.6182  0.5415  3 Ru 2.46-2.51
Ge  0.3818  0.6182  0.9585  3 Ru 2.46-2.51
Tb  0.0786  0.9214  0.6135  6 Ge 3.04-3.21, 4 Ru 3.10-3.23

***

- Which of these has the lowest volume?
  SmGe2Ru2

***

Copy entry 1 word for word.
The following is a PBE-GGA calculation of Sm2Ge5Ru3 after structural relaxation, from the Materials Project database.

Values from the calculation:
Volume ... 367 Å³/cell
Calculated density ... 8.8 g/cm3
ΔE_f ... -650 meV/atom
Total DFT energy (no corrections) ... -6.69 eV per atom

Cell lengths 8.5392, 8.5392, 8.5392 Å; angles 139.94, 108.55, 85.21 degrees
Closest atoms and distances in Å follow each position.
Atoms (fractional coordinates):
Ru  0.5000  0.7500  0.2500  6 Ge 2.53-2.61
Ge  0.7628  0.0882  0.6747  3 Ru 2.45-2.53, 2 Ge 2.73
Ge  0.7078  0.9578  0.2500  3 Ru 2.51-2.61, 2 Ge 2.73
Ge  0.2372  0.9118  0.3253  3 Ru 2.45-2.53, 2 Ge 2.73
Ru  0.9444  0.8531  0.0913  5 Ge 2.45-2.53
Ge  0.2922  0.0422  0.7500  3 Ru 2.51-2.61, 2 Ge 2.73
Sm  0.3703  0.1390  0.2313  9 Ge 3.01-3.34, 4 Ru 3.22-3.24
Sm  0.6297  0.8610  0.7687  9 Ge 3.01-3.34, 4 Ru 3.22-3.24
Ge  0.2922  0.5422  0.2500  3 Ru 2.51-2.61, 2 Ge 2.73
Ru  0.0556  0.1469  0.9087  5 Ge 2.45-2.53
Ru  0.7618  0.3531  0.4087  5 Ge 2.45-2.53
Ru  0.5000  0.2500  0.7500  6 Ge 2.53-2.61
Ge  0.5865  0.4118  0.1747  3 Ru 2.45-2.53, 2 Ge 2.73
Ge  0.0000  0.2500  0.2500  4 Ru 2.53
Sm  0.9077  0.6390  0.2687  9 Ge 3.01-3.34, 4 Ru 3.22-3.24
Ru  0.2382  0.6469  0.5913  5 Ge 2.45-2.53
Ge  0.4135  0.5882  0.8253  3 Ru 2.45-2.53, 2 Ge 2.73
Ge  0.7078  0.4578  0.7500  3 Ru 2.51-2.61, 2 Ge 2.73
Ge  0.0000  0.7500  0.7500  4 Ru 2.53
Sm  0.0923  0.3610  0.7313  9 Ge 3.01-3.34, 4 Ru 3.22-3.24

***

- Among the records above, which one has the lowest total DFT energy (no corrections)?
  Sm2GeRu3

***

- What is the total DFT energy (no corrections) in the fifth record?
  -7.16 eV per atom